# ZnS r2SCAN optimized geometry
# E_tot, eV per formula unit: -18.9
# ΔH_f (0 K), eV per atom: -0.962
data_ZnS
_chemical_formula_sum 'Zn16 S16'
_space_group_name_H-M_alt 'P 3 m 1'
_space_group_IT_number 156
_cell_length_a 3.8073
_cell_length_b 3.8073
_cell_length_c 49.8454
_cell_angle_alpha 90.00
_cell_angle_beta 90.00
_cell_angle_gamma 120.00
loop_
_space_group_symop_operation_xyz
'x,y,z'
'-y,x-y,z'
'-x+y,-x,z'
'-y,-x,z'
'-x+y,y,z'
'x,x-y,z'
loop_
_atom_site_label
_atom_site_fract_x
_atom_site_fract_y
_atom_site_fract_z
_atom_site_occupancy
Zn1 0.0000 0.0000 0.0000 1
Zn2 0.0000 0.0000 0.1250 1
Zn3 0.0000 0.0000 0.2502 1
Zn4 0.0000 0.0000 0.3750 1
Zn5 0.0000 0.0000 0.6250 1
Zn6 0.0000 0.0000 0.7500 1
Zn7 0.3333 0.6667 0.1877 1
Zn8 0.3333 0.6667 0.4375 1
Zn9 0.3333 0.6667 0.5625 1
Zn10 0.3333 0.6667 0.8125 1
Zn11 0.3333 0.6667 0.9375 1
Zn12 0.6667 0.3333 0.0625 1
Zn13 0.6667 0.3333 0.3126 1
Zn14 0.6667 0.3333 0.5000 1
Zn15 0.6667 0.3333 0.6875 1
Zn16 0.6667 0.3333 0.8750 1
S1 0.0000 0.0000 0.0468 1
S2 0.0000 0.0000 0.1719 1
S3 0.0000 0.0000 0.2969 1
S4 0.0000 0.0000 0.4218 1
S5 0.0000 0.0000 0.6718 1
S6 0.0000 0.0000 0.7968 1
S7 0.3333 0.6667 0.2345 1
S8 0.3333 0.6667 0.4843 1
S9 0.3333 0.6667 0.6093 1
S10 0.3333 0.6667 0.8593 1
S11 0.3333 0.6667 0.9843 1
S12 0.6667 0.3333 0.1094 1
S13 0.6667 0.3333 0.3594 1
S14 0.6667 0.3333 0.5469 1
S15 0.6667 0.3333 0.7344 1
S16 0.6667 0.3333 0.9219 1

# ZnS r2SCAN optimized geometry
# E_tot, eV per formula unit: -18.9
# ΔH_f (0 K), eV per atom: -0.962
data_ZnS
_chemical_formula_sum 'Zn22 S22'
_space_group_name_H-M_alt 'P 3 m 1'
_space_group_IT_number 156
_cell_length_a 3.8097
_cell_length_b 3.8097
_cell_length_c 68.4884
_cell_angle_alpha 90.00
_cell_angle_beta 90.00
_cell_angle_gamma 120.00
loop_
_space_group_symop_operation_xyz
'x,y,z'
'-y,x-y,z'
'-x+y,-x,z'
'-y,-x,z'
'-x+y,y,z'
'x,x-y,z'
loop_
_atom_site_label
_atom_site_fract_x
_atom_site_fract_y
_atom_site_fract_z
_atom_site_occupancy
Zn1 0.0000 0.0000 0.0000 1
Zn2 0.0000 0.0000 0.0910 1
Zn3 0.0000 0.0000 0.2273 1
Zn4 0.0000 0.0000 0.3636 1
Zn5 0.0000 0.0000 0.4546 1
Zn6 0.0000 0.0000 0.5910 1
Zn7 0.0000 0.0000 0.7273 1
Zn8 0.0000 0.0000 0.8637 1
Zn9 0.3333 0.6667 0.0454 1
Zn10 0.3333 0.6667 0.1817 1
Zn11 0.3333 0.6667 0.2728 1
Zn12 0.3333 0.6667 0.4091 1
Zn13 0.3333 0.6667 0.5455 1
Zn14 0.3333 0.6667 0.6817 1
Zn15 0.3333 0.6667 0.7728 1
Zn16 0.3333 0.6667 0.9091 1
Zn17 0.6667 0.3333 0.1363 1
Zn18 0.6667 0.3333 0.3183 1
Zn19 0.6667 0.3333 0.5000 1
Zn20 0.6667 0.3333 0.6363 1
Zn21 0.6667 0.3333 0.8183 1
Zn22 0.6667 0.3333 0.9546 1
S1 0.0000 0.0000 0.0340 1
S2 0.0000 0.0000 0.1250 1
S3 0.0000 0.0000 0.2614 1
S4 0.0000 0.0000 0.3977 1
S5 0.0000 0.0000 0.4887 1
S6 0.0000 0.0000 0.6250 1
S7 0.0000 0.0000 0.7614 1
S8 0.0000 0.0000 0.8977 1
S9 0.3333 0.6667 0.0796 1
S10 0.3333 0.6667 0.2158 1
S11 0.3333 0.6667 0.3069 1
S12 0.3333 0.6667 0.4432 1
S13 0.3333 0.6667 0.5796 1
S14 0.3333 0.6667 0.7158 1
S15 0.3333 0.6667 0.8069 1
S16 0.3333 0.6667 0.9432 1
S17 0.6667 0.3333 0.1704 1
S18 0.6667 0.3333 0.3523 1
S19 0.6667 0.3333 0.5341 1
S20 0.6667 0.3333 0.6704 1
S21 0.6667 0.3333 0.8523 1
S22 0.6667 0.3333 0.9886 1

# ZnS r2SCAN optimized geometry
# E_tot, eV per formula unit: -18.9
# ΔH_f (0 K), eV per atom: -0.962
data_ZnS
_chemical_formula_sum 'Zn20 S20'
_space_group_name_H-M_alt 'P 3 m 1'
_space_group_IT_number 156
_cell_length_a 3.8071
_cell_length_b 3.8071
_cell_length_c 62.2776
_cell_angle_alpha 90.00
_cell_angle_beta 90.00
_cell_angle_gamma 120.00
loop_
_space_group_symop_operation_xyz
'x,y,z'
'-y,x-y,z'
'-x+y,-x,z'
'-y,-x,z'
'-x+y,y,z'
'x,x-y,z'
loop_
_atom_site_label
_atom_site_fract_x
_atom_site_fract_y
_atom_site_fract_z
_atom_site_occupancy
Zn1 0.0000 0.0000 0.0000 1
Zn2 0.0000 0.0000 0.1000 1
Zn3 0.0000 0.0000 0.2500 1
Zn4 0.0000 0.0000 0.3500 1
Zn5 0.0000 0.0000 0.5000 1
Zn6 0.0000 0.0000 0.6500 1
Zn7 0.0000 0.0000 0.8000 1
Zn8 0.3333 0.6667 0.0500 1
Zn9 0.3333 0.6667 0.2001 1
Zn10 0.3333 0.6667 0.4000 1
Zn11 0.3333 0.6667 0.5500 1
Zn12 0.3333 0.6667 0.7501 1
Zn13 0.3333 0.6667 0.9001 1
Zn14 0.6667 0.3333 0.1500 1
Zn15 0.6667 0.3333 0.3000 1
Zn16 0.6667 0.3333 0.4501 1
Zn17 0.6667 0.3333 0.6001 1
Zn18 0.6667 0.3333 0.7001 1
Zn19 0.6667 0.3333 0.8500 1
Zn20 0.6667 0.3333 0.9502 1
S1 0.0000 0.0000 0.0374 1
S2 0.0000 0.0000 0.1375 1
S3 0.0000 0.0000 0.2874 1
S4 0.0000 0.0000 0.3875 1
S5 0.0000 0.0000 0.5375 1
S6 0.0000 0.0000 0.6875 1
S7 0.0000 0.0000 0.8375 1
S8 0.3333 0.6667 0.0875 1
S9 0.3333 0.6667 0.2375 1
S10 0.3333 0.6667 0.4375 1
S11 0.3333 0.6667 0.5875 1
S12 0.3333 0.6667 0.7876 1
S13 0.3333 0.6667 0.9376 1
S14 0.6667 0.3333 0.1875 1
S15 0.6667 0.3333 0.3375 1
S16 0.6667 0.3333 0.4876 1
S17 0.6667 0.3333 0.6375 1
S18 0.6667 0.3333 0.7375 1
S19 0.6667 0.3333 0.8875 1
S20 0.6667 0.3333 0.9876 1

# ZnS r2SCAN optimized geometry
# E_tot, eV per formula unit: -18.9
# ΔH_f (0 K), eV per atom: -0.962
data_ZnS
_chemical_formula_sum 'Zn28 S28'
_space_group_name_H-M_alt 'P 3 m 1'
_space_group_IT_number 156
_cell_length_a 3.8107
_cell_length_b 3.8107
_cell_length_c 87.1749
_cell_angle_alpha 90.00
_cell_angle_beta 90.00
_cell_angle_gamma 120.00
loop_
_space_group_symop_operation_xyz
'x,y,z'
'-y,x-y,z'
'-x+y,-x,z'
'-y,-x,z'
'-x+y,y,z'
'x,x-y,z'
loop_
_atom_site_label
_atom_site_fract_x
_atom_site_fract_y
_atom_site_fract_z
_atom_site_occupancy
Zn1 0.0000 0.0000 0.0000 1
Zn2 0.0000 0.0000 0.0715 1
Zn3 0.0000 0.0000 0.2144 1
Zn4 0.0000 0.0000 0.3215 1
Zn5 0.0000 0.0000 0.4645 1
Zn6 0.0000 0.0000 0.5715 1
Zn7 0.0000 0.0000 0.6786 1
Zn8 0.0000 0.0000 0.7858 1
Zn9 0.0000 0.0000 0.8929 1
Zn10 0.3333 0.6667 0.0357 1
Zn11 0.3333 0.6667 0.1429 1
Zn12 0.3333 0.6667 0.2501 1
Zn13 0.3333 0.6667 0.3929 1
Zn14 0.3333 0.6667 0.5002 1
Zn15 0.3333 0.6667 0.6072 1
Zn16 0.3333 0.6667 0.7143 1
Zn17 0.3333 0.6667 0.8215 1
Zn18 0.3333 0.6667 0.9287 1
Zn19 0.6667 0.3333 0.1072 1
Zn20 0.6667 0.3333 0.1787 1
Zn21 0.6667 0.3333 0.2858 1
Zn22 0.6667 0.3333 0.3572 1
Zn23 0.6667 0.3333 0.4287 1
Zn24 0.6667 0.3333 0.5358 1
Zn25 0.6667 0.3333 0.6429 1
Zn26 0.6667 0.3333 0.7501 1
Zn27 0.6667 0.3333 0.8572 1
Zn28 0.6667 0.3333 0.9644 1
S1 0.0000 0.0000 0.0268 1
S2 0.0000 0.0000 0.0982 1
S3 0.0000 0.0000 0.2412 1
S4 0.0000 0.0000 0.3483 1
S5 0.0000 0.0000 0.4912 1
S6 0.0000 0.0000 0.5983 1
S7 0.0000 0.0000 0.7054 1
S8 0.0000 0.0000 0.8126 1
S9 0.0000 0.0000 0.9197 1
S10 0.3333 0.6667 0.0625 1
S11 0.3333 0.6667 0.1697 1
S12 0.3333 0.6667 0.2769 1
S13 0.3333 0.6667 0.4197 1
S14 0.3333 0.6667 0.5269 1
S15 0.3333 0.6667 0.6340 1
S16 0.3333 0.6667 0.7411 1
S17 0.3333 0.6667 0.8483 1
S18 0.3333 0.6667 0.9555 1
S19 0.6667 0.3333 0.1339 1
S20 0.6667 0.3333 0.2055 1
S21 0.6667 0.3333 0.3125 1
S22 0.6667 0.3333 0.3840 1
S23 0.6667 0.3333 0.4555 1
S24 0.6667 0.3333 0.5626 1
S25 0.6667 0.3333 0.6697 1
S26 0.6667 0.3333 0.7768 1
S27 0.6667 0.3333 0.8840 1
S28 0.6667 0.3333 0.9911 1

# ZnS r2SCAN optimized geometry
# E_tot, eV per formula unit: -18.9
# ΔH_f (0 K), eV per atom: -0.962
data_ZnS
_chemical_formula_sum 'Zn20 S20'
_space_group_name_H-M_alt 'P 3 m 1'
_space_group_IT_number 156
_cell_length_a 3.8066
_cell_length_b 3.8066
_cell_length_c 62.3171
_cell_angle_alpha 90.00
_cell_angle_beta 90.00
_cell_angle_gamma 120.00
loop_
_space_group_symop_operation_xyz
'x,y,z'
'-y,x-y,z'
'-x+y,-x,z'
'-y,-x,z'
'-x+y,y,z'
'x,x-y,z'
loop_
_atom_site_label
_atom_site_fract_x
_atom_site_fract_y
_atom_site_fract_z
_atom_site_occupancy
Zn1 0.0000 0.0000 0.0000 1
Zn2 0.0000 0.0000 0.1000 1
Zn3 0.0000 0.0000 0.2000 1
Zn4 0.0000 0.0000 0.4000 1
Zn5 0.0000 0.0000 0.5001 1
Zn6 0.0000 0.0000 0.7000 1
Zn7 0.0000 0.0000 0.8500 1
Zn8 0.3333 0.6667 0.1500 1
Zn9 0.3333 0.6667 0.3000 1
Zn10 0.3333 0.6667 0.4500 1
Zn11 0.3333 0.6667 0.6000 1
Zn12 0.3333 0.6667 0.7500 1
Zn13 0.3333 0.6667 0.9500 1
Zn14 0.6667 0.3333 0.0500 1
Zn15 0.6667 0.3333 0.2500 1
Zn16 0.6667 0.3333 0.3500 1
Zn17 0.6667 0.3333 0.5500 1
Zn18 0.6667 0.3333 0.6500 1
Zn19 0.6667 0.3333 0.8000 1
Zn20 0.6667 0.3333 0.9000 1
S1 0.0000 0.0000 0.0374 1
S2 0.0000 0.0000 0.1374 1
S3 0.0000 0.0000 0.2375 1
S4 0.0000 0.0000 0.4374 1
S5 0.0000 0.0000 0.5375 1
S6 0.0000 0.0000 0.7375 1
S7 0.0000 0.0000 0.8875 1
S8 0.3333 0.6667 0.1875 1
S9 0.3333 0.6667 0.3375 1
S10 0.3333 0.6667 0.4875 1
S11 0.3333 0.6667 0.6375 1
S12 0.3333 0.6667 0.7875 1
S13 0.3333 0.6667 0.9875 1
S14 0.6667 0.3333 0.0875 1
S15 0.6667 0.3333 0.2874 1
S16 0.6667 0.3333 0.3875 1
S17 0.6667 0.3333 0.5874 1
S18 0.6667 0.3333 0.6875 1
S19 0.6667 0.3333 0.8374 1
S20 0.6667 0.3333 0.9375 1

# ZnS r2SCAN optimized geometry
# E_tot, eV per formula unit: -18.8
# ΔH_f (0 K), eV per atom: -0.949
data_ZnS
_chemical_formula_sum 'Zn26 S26'
_space_group_name_H-M_alt 'P 3 m 1'
_space_group_IT_number 156
_cell_length_a 3.8049
_cell_length_b 3.8049
_cell_length_c 80.9000
_cell_angle_alpha 90.00
_cell_angle_beta 90.00
_cell_angle_gamma 120.00
loop_
_space_group_symop_operation_xyz
'x,y,z'
'-y,x-y,z'
'-x+y,-x,z'
'-y,-x,z'
'-x+y,y,z'
'x,x-y,z'
loop_
_atom_site_label
_atom_site_fract_x
_atom_site_fract_y
_atom_site_fract_z
_atom_site_occupancy
Zn1 0.0000 0.0000 0.0000 1
Zn2 0.0000 0.0000 0.0761 1
Zn3 0.0000 0.0000 0.1917 1
Zn4 0.0000 0.0000 0.2687 1
Zn5 0.0000 0.0000 0.3841 1
Zn6 0.0000 0.0000 0.4994 1
Zn7 0.0000 0.0000 0.5764 1
Zn8 0.0000 0.0000 0.6918 1
Zn9 0.0000 0.0000 0.7687 1
Zn10 0.0000 0.0000 0.9226 1
Zn11 0.3333 0.6667 0.1532 1
Zn12 0.3333 0.6667 0.3072 1
Zn13 0.3333 0.6667 0.4226 1
Zn14 0.3333 0.6667 0.5379 1
Zn15 0.3333 0.6667 0.6534 1
Zn16 0.3333 0.6667 0.8071 1
Zn17 0.3333 0.6667 0.8842 1
Zn18 0.6667 0.3333 0.0388 1
Zn19 0.6667 0.3333 0.1146 1
Zn20 0.6667 0.3333 0.2302 1
Zn21 0.6667 0.3333 0.3457 1
Zn22 0.6667 0.3333 0.4610 1
Zn23 0.6667 0.3333 0.6149 1
Zn24 0.6667 0.3333 0.7302 1
Zn25 0.6667 0.3333 0.8457 1
Zn26 0.6667 0.3333 0.9613 1
S1 0.0000 0.0000 0.0290 1
S2 0.0000 0.0000 0.1050 1
S3 0.0000 0.0000 0.2206 1
S4 0.0000 0.0000 0.2976 1
S5 0.0000 0.0000 0.4130 1
S6 0.0000 0.0000 0.5283 1
S7 0.0000 0.0000 0.6053 1
S8 0.0000 0.0000 0.7206 1
S9 0.0000 0.0000 0.7975 1
S10 0.0000 0.0000 0.9515 1
S11 0.3333 0.6667 0.0652 1
S12 0.3333 0.6667 0.1821 1
S13 0.3333 0.6667 0.3360 1
S14 0.3333 0.6667 0.4514 1
S15 0.3333 0.6667 0.5668 1
S16 0.3333 0.6667 0.6822 1
S17 0.3333 0.6667 0.8360 1
S18 0.3333 0.6667 0.9130 1
S19 0.6667 0.3333 0.1435 1
S20 0.6667 0.3333 0.2591 1
S21 0.6667 0.3333 0.3745 1
S22 0.6667 0.3333 0.4898 1
S23 0.6667 0.3333 0.6437 1
S24 0.6667 0.3333 0.7591 1
S25 0.6667 0.3333 0.8745 1
S26 0.6667 0.3333 0.9902 1